The following is a DFT calculation (PBE-GGA) of an optimized crystal structure of Eu2Si3Ni8.

a b c (Å): 9.989 9.989 7.488
angles (deg): 90.00 90.00 90.00
Sites, in units of the cell vectors:
Eu 0.044 0.750 0.108
Eu 0.250 0.544 0.392
Eu 0.250 0.956 0.392
Eu 0.456 0.750 0.108
Eu 0.544 0.250 0.892
Eu 0.750 0.044 0.608
Eu 0.750 0.456 0.608
Eu 0.956 0.250 0.892
Si 0.042 0.542 0.750
Si 0.042 0.958 0.750
Si 0.250 0.250 0.015
Si 0.250 0.250 0.515
Si 0.458 0.542 0.750
Si 0.458 0.958 0.750
Si 0.542 0.042 0.250
Si 0.542 0.458 0.250
Si 0.750 0.750 0.485
Si 0.750 0.750 0.985
Si 0.958 0.042 0.250
Si 0.958 0.458 0.250
Ni 0.043 0.123 0.532
Ni 0.043 0.377 0.532
Ni 0.113 0.250 0.257
Ni 0.122 0.750 0.648
Ni 0.123 0.043 0.032
Ni 0.123 0.457 0.032
Ni 0.250 0.113 0.757
Ni 0.250 0.387 0.757
Ni 0.250 0.622 0.852
Ni 0.250 0.878 0.852
Ni 0.377 0.043 0.032
Ni 0.377 0.457 0.032
Ni 0.378 0.750 0.648
Ni 0.387 0.250 0.257
Ni 0.457 0.123 0.532
Ni 0.457 0.377 0.532
Ni 0.543 0.623 0.468
Ni 0.543 0.877 0.468
Ni 0.613 0.750 0.743
Ni 0.622 0.250 0.352
Ni 0.623 0.543 0.968
Ni 0.623 0.957 0.968
Ni 0.750 0.122 0.148
Ni 0.750 0.378 0.148
Ni 0.750 0.613 0.243
Ni 0.750 0.887 0.243
Ni 0.877 0.543 0.968
Ni 0.877 0.957 0.968
Ni 0.878 0.250 0.352
Ni 0.887 0.750 0.743
Ni 0.957 0.623 0.468
Ni 0.957 0.877 0.468

Computed properties:
**SG**: P4_2/nmc
**Calculated formation energy**: -538 meV/atom